Ga3Te3I: optimized geometry, r²SCAN.

Unit cell a=4.1359 b=11.3781 c=20.1306 alpha=90.00 beta=90.00 gamma=90.00
Closest atoms and distances in Å follow each position.
Atoms (fractional coordinates):
Ga: 0.7500 0.8356 0.6319  1 I 2.55, 3 Te 2.65-2.67
Ga: 0.2500 0.6713 0.4953  1 Ga 2.44, 3 Te 2.66-2.70
Ga: 0.7500 0.3356 0.8681  1 I 2.55, 3 Te 2.65-2.67
Ga: 0.7500 0.8287 0.9953  1 Ga 2.44, 3 Te 2.66-2.70
Ga: 0.2500 0.6644 0.1319  1 I 2.55, 3 Te 2.65-2.67
Ga: 0.7500 0.4424 0.4021  1 Ga 2.44, 3 Te 2.68
Ga: 0.2500 0.0576 0.9021  1 Ga 2.44, 3 Te 2.68
Ga: 0.2500 0.5576 0.5979  1 Ga 2.44, 3 Te 2.68
Ga: 0.2500 0.1713 0.0047  1 Ga 2.44, 3 Te 2.66-2.70
Ga: 0.7500 0.3287 0.5047  1 Ga 2.44, 3 Te 2.66-2.70
Ga: 0.7500 0.9424 0.0979  1 Ga 2.44, 3 Te 2.68
Ga: 0.2500 0.1644 0.3681  1 I 2.55, 3 Te 2.65-2.67
I: 0.7500 0.5495 0.8311  1 Ga 2.55
I: 0.2500 0.4505 0.1689  1 Ga 2.55
I: 0.7500 0.0495 0.6689  1 Ga 2.55
I: 0.2500 0.9505 0.3311  1 Ga 2.55
Te: 0.2500 0.6768 0.0007  3 Ga 2.65-2.70
Te: 0.2500 0.7282 0.6894  3 Ga 2.67-2.68
Te: 0.2500 0.2282 0.8106  3 Ga 2.67-2.68
Te: 0.7500 0.9167 0.8729  3 Ga 2.66-2.68
Te: 0.2500 0.1768 0.4993  3 Ga 2.65-2.70
Te: 0.2500 0.5833 0.3729  3 Ga 2.66-2.68
Te: 0.2500 0.0833 0.1271  3 Ga 2.66-2.68
Te: 0.7500 0.8232 0.5007  3 Ga 2.65-2.70
Te: 0.7500 0.3232 0.9993  3 Ga 2.65-2.70
Te: 0.7500 0.4167 0.6271  3 Ga 2.66-2.68
Te: 0.7500 0.2718 0.3106  3 Ga 2.67-2.68
Te: 0.7500 0.7718 0.1894  3 Ga 2.67-2.68

Properties
Magnetic moment in μB per formula unit: 0.0
Formation energy in eV per atom: -0.488
Symmetry: Pnma
V in Å³/cell: 947.3